# La3Cu3Sb4 PBE-GGA optimized geometry
data_La3Cu3Sb4
_chemical_formula_sum 'La12 Cu12 Sb16'
_space_group_name_H-M_alt 'I -4 3 d'
_space_group_IT_number 220
_space_group_name_Hall 'I -4bd 2c 3'
_cell_length_a 9.891
_cell_length_b 9.891
_cell_length_c 9.891
_cell_angle_alpha 90.00
_cell_angle_beta 90.00
_cell_angle_gamma 90.00
loop_
_atom_site_label
_atom_site_type_symbol
_atom_site_fract_x
_atom_site_fract_y
_atom_site_fract_z
La1 La 0.000 0.250 0.875
Cu1 Cu 0.000 0.250 0.375
Sb1 Sb 0.080 0.420 0.580
# Electronic total energy (eV per atom): -5.20
# Energy of formation (eV per atom): -0.92
# Piezoelectric modulus e_max (C/m²): 0.33
# ρ (g/cm³): 7.5